The following is a PBE calculation of a geometry-optimized MnH16C4S4N8Cl2 structure, from the Materials Project database.

Summary:
The energy with MP2020 corrections comes out at -201.43 eV per formula unit. The total magnetization comes out at 20.12 μB/cell. The energy of formation from the pure elements is -403.8 meV/atom.

a b c (Å): 13.8226 13.8226 9.7659
angles (deg): 90.00 90.00 90.00
Element x y z (fractional)
Mn1 0.0000 0.0000 0.0000
Mn2 0.0000 0.5000 0.5000
Mn3 0.5000 0.0000 0.5000
Mn4 0.5000 0.5000 0.0000
H1 0.0009 0.2008 0.2668
H2 0.0010 0.3277 0.2837
H3 0.0051 0.6960 0.2409
H4 0.0361 0.8096 0.1739
H5 0.0817 0.8947 0.5779
H6 0.1053 0.5817 0.0779
H7 0.1122 0.1240 0.6473
H8 0.1240 0.3878 0.8527
H9 0.1463 0.8380 0.4448
H10 0.1620 0.6463 0.9448
H11 0.1695 0.2013 0.5295
H12 0.1723 0.0010 0.2163
H13 0.1904 0.5361 0.6739
H14 0.1960 0.9949 0.7409
H15 0.2013 0.3305 0.9705
H16 0.2008 0.4991 0.2332
H17 0.2992 0.0009 0.2332
H18 0.2987 0.1695 0.9705
H19 0.3040 0.5051 0.7409
H20 0.3096 0.9639 0.6739
H21 0.3277 0.4990 0.2163
H22 0.3305 0.2987 0.5295
H23 0.3380 0.8537 0.9448
H24 0.3537 0.6620 0.4448
H25 0.3760 0.1122 0.8527
H26 0.3878 0.3760 0.6473
H27 0.3947 0.9183 0.0779
H28 0.4183 0.6053 0.5779
H29 0.4639 0.6904 0.1739
H30 0.4949 0.8040 0.2409
H31 0.4990 0.1723 0.2837
H32 0.4991 0.2992 0.2668
H33 0.5009 0.7008 0.7332
H34 0.5010 0.8277 0.7163
H35 0.5051 0.1960 0.7591
H36 0.5361 0.3096 0.8261
H37 0.5817 0.3947 0.4221
H38 0.6053 0.0817 0.9221
H39 0.6122 0.6240 0.3527
H40 0.6240 0.8878 0.1473
H41 0.6463 0.3380 0.5552
H42 0.6620 0.1463 0.0552
H43 0.6695 0.7013 0.4705
H44 0.6723 0.5010 0.7837
H45 0.6904 0.0361 0.3261
H46 0.6960 0.4949 0.2591
H47 0.7013 0.8305 0.0295
H48 0.7008 0.9991 0.7668
H49 0.7992 0.5009 0.7668
H50 0.7987 0.6695 0.0295
H51 0.8040 0.0051 0.2591
H52 0.8096 0.4639 0.3261
H53 0.8277 0.9990 0.7837
H54 0.8305 0.7987 0.4705
H55 0.8380 0.3537 0.0552
H56 0.8537 0.1620 0.5552
H57 0.8760 0.6122 0.1473
H58 0.8878 0.8760 0.3527
H59 0.8947 0.4183 0.9221
H60 0.9183 0.1053 0.4221
H61 0.9639 0.1904 0.8261
H62 0.9949 0.3040 0.7591
H63 0.9990 0.6723 0.7163
H64 0.9991 0.7992 0.7332
C1 0.0744 0.7454 0.5685
C2 0.0853 0.2495 0.9096
C3 0.2454 0.9256 0.0685
C4 0.2495 0.4147 0.5904
C5 0.2505 0.0853 0.5904
C6 0.2546 0.5744 0.0685
C7 0.4147 0.2505 0.9096
C8 0.4256 0.7546 0.5685
C9 0.5744 0.2454 0.4315
C10 0.5853 0.7495 0.0904
C11 0.7454 0.4256 0.9315
C12 0.7495 0.9147 0.4096
C13 0.7505 0.5853 0.4096
C14 0.7546 0.0744 0.9315
C15 0.9147 0.7505 0.0904
C16 0.9256 0.2546 0.4315
S1 0.1115 0.6470 0.4747
S2 0.1132 0.1552 0.0167
S3 0.1470 0.8885 0.9747
S4 0.1552 0.3868 0.4833
S5 0.3448 0.1132 0.4833
S6 0.3530 0.6115 0.9747
S7 0.3868 0.3448 0.0167
S8 0.3885 0.8530 0.4747
S9 0.6115 0.1470 0.5253
S10 0.6132 0.6552 0.9833
S11 0.6470 0.3885 0.0253
S12 0.6552 0.8868 0.5167
S13 0.8448 0.6132 0.5167
S14 0.8530 0.1115 0.0253
S15 0.8868 0.8448 0.9833
S16 0.8885 0.3530 0.5253
N1 0.0108 0.2470 0.8216
N2 0.0204 0.7387 0.6815
N3 0.1009 0.8335 0.5257
N4 0.1400 0.3294 0.9123
N5 0.1665 0.6009 0.0257
N6 0.1706 0.1400 0.5877
N7 0.2387 0.9796 0.1815
N8 0.2470 0.4892 0.6784
N9 0.2530 0.0108 0.6784
N10 0.2613 0.5204 0.1815
N11 0.3294 0.3600 0.5877
N12 0.3335 0.8991 0.0257
N13 0.3600 0.1706 0.9123
N14 0.3991 0.6665 0.5257
N15 0.4796 0.7613 0.6815
N16 0.4892 0.2530 0.8216
N17 0.5108 0.7470 0.1784
N18 0.5204 0.2387 0.3185
N19 0.6009 0.3335 0.4743
N20 0.6400 0.8294 0.0877
N21 0.6665 0.1009 0.9743
N22 0.6706 0.6400 0.4123
N23 0.7387 0.4796 0.8185
N24 0.7470 0.9892 0.3216
N25 0.7530 0.5108 0.3216
N26 0.7613 0.0204 0.8185
N27 0.8294 0.8600 0.4123
N28 0.8335 0.3991 0.9743
N29 0.8600 0.6706 0.0877
N30 0.8991 0.1665 0.4743
N31 0.9796 0.2613 0.3185
N32 0.9892 0.7530 0.1784
Cl1 0.0028 0.4942 0.2355
Cl2 0.0058 0.0028 0.2645
Cl3 0.4942 0.4972 0.2645
Cl4 0.4972 0.0058 0.2355
Cl5 0.5028 0.9942 0.7645
Cl6 0.5058 0.5028 0.7355
Cl7 0.9942 0.9972 0.7355
Cl8 0.9972 0.5058 0.7645